(1)
LiCoPO4 | PBE+U | relaxed

Cell lengths 8.666, 7.962, 17.282 Å; angles 90.00, 119.67, 90.00 degrees
Fractional coordinates of all 84 atoms:
Li 0.002 0.168 0.250
Li 0.002 0.332 0.750
Li 0.291 0.032 0.560
Li 0.291 0.468 0.060
Li 0.373 0.047 0.093
Li 0.373 0.453 0.593
Li 0.627 0.547 0.407
Li 0.627 0.953 0.907
Li 0.709 0.532 0.940
Li 0.709 0.968 0.440
Li 0.998 0.668 0.250
Li 0.998 0.832 0.750
Co 0.039 0.720 0.428
Co 0.039 0.780 0.928
Co 0.310 0.716 0.227
Co 0.310 0.784 0.727
Co 0.364 0.227 0.405
Co 0.364 0.273 0.905
Co 0.636 0.727 0.095
Co 0.636 0.773 0.595
Co 0.690 0.216 0.273
Co 0.690 0.284 0.773
Co 0.961 0.220 0.072
Co 0.961 0.280 0.572
P 0.044 0.173 0.928
P 0.044 0.327 0.428
P 0.318 0.172 0.726
P 0.318 0.328 0.226
P 0.355 0.671 0.909
P 0.355 0.829 0.409
P 0.645 0.171 0.591
P 0.645 0.329 0.091
P 0.682 0.672 0.774
P 0.682 0.828 0.274
P 0.956 0.673 0.572
P 0.956 0.827 0.072
O 0.093 0.213 0.510
O 0.093 0.287 0.010
O 0.106 0.237 0.368
O 0.106 0.263 0.868
O 0.144 0.232 0.203
O 0.144 0.268 0.703
O 0.147 0.005 0.962
O 0.147 0.495 0.462
O 0.159 0.640 0.625
O 0.159 0.860 0.125
O 0.232 0.742 0.318
O 0.232 0.758 0.818
O 0.246 0.635 0.957
O 0.246 0.865 0.457
O 0.269 0.006 0.672
O 0.269 0.494 0.172
O 0.423 0.133 0.828
O 0.423 0.367 0.328
O 0.429 0.506 0.893
O 0.429 0.994 0.393
O 0.430 0.218 0.198
O 0.430 0.282 0.698
O 0.485 0.211 0.033
O 0.485 0.289 0.533
O 0.515 0.711 0.467
O 0.515 0.789 0.967
O 0.570 0.718 0.302
O 0.570 0.782 0.802
O 0.571 0.006 0.607
O 0.571 0.494 0.107
O 0.577 0.633 0.672
O 0.577 0.867 0.172
O 0.731 0.506 0.828
O 0.731 0.994 0.328
O 0.754 0.135 0.543
O 0.754 0.365 0.043
O 0.768 0.242 0.182
O 0.768 0.258 0.682
O 0.841 0.140 0.875
O 0.841 0.360 0.375
O 0.853 0.505 0.538
O 0.853 0.995 0.038
O 0.856 0.732 0.297
O 0.856 0.768 0.797
O 0.894 0.737 0.132
O 0.894 0.763 0.632
O 0.907 0.713 0.990
O 0.907 0.787 0.490

## Properties
**Total magnetization**: 3.00 μB/f.u.
**Volume**: 12.335 Å³ per atom
**Raw total energy**: -6.626 eV/atom
**Space-group type**: P2_1/c
**Crystal system**: monoclinic



(2)
Na2EuMnO6 | PBE+U | relaxed

Cell lengths 5.832, 5.832, 5.832 Å; angles 60.00, 60.00, 60.00 degrees
Fractional coordinates of all 10 atoms:
Na 0.250 0.250 0.250
Na 0.750 0.750 0.750
Eu 0.000 0.000 0.000
Mn 0.500 0.500 0.500
O 0.271 0.271 0.729
O 0.271 0.729 0.271
O 0.271 0.729 0.729
O 0.729 0.271 0.271
O 0.729 0.271 0.729
O 0.729 0.729 0.271

## Properties
**Total magnetization**: 6.00 μB/f.u.
**Volume**: 14.029 Å³ per atom
**Raw total energy**: -6.345 eV/atom
**Space-group type**: Fm-3m
**Crystal system**: cubic



(3)
Na2MoH4O6 | PBE+U | relaxed

Cell lengths 8.276, 11.398, 14.414 Å; angles 90.00, 90.00, 90.00 degrees
Fractional coordinates of all 104 atoms:
Na 0.177 0.017 0.162
Na 0.177 0.483 0.662
Na 0.184 0.522 0.431
Na 0.184 0.978 0.931
Na 0.316 0.022 0.431
Na 0.316 0.478 0.931
Na 0.323 0.517 0.162
Na 0.323 0.983 0.662
Na 0.677 0.017 0.338
Na 0.677 0.483 0.838
Na 0.684 0.522 0.069
Na 0.684 0.978 0.569
Na 0.816 0.022 0.069
Na 0.816 0.478 0.569
Na 0.823 0.517 0.338
Na 0.823 0.983 0.838
Mo 0.029 0.228 0.546
Mo 0.029 0.272 0.046
Mo 0.471 0.728 0.546
Mo 0.471 0.772 0.046
Mo 0.529 0.228 0.954
Mo 0.529 0.272 0.454
Mo 0.971 0.728 0.954
Mo 0.971 0.772 0.454
H 0.014 0.584 0.180
H 0.014 0.916 0.680
H 0.019 0.549 0.837
H 0.019 0.951 0.337
H 0.120 0.749 0.305
H 0.120 0.751 0.805
H 0.123 0.742 0.098
H 0.123 0.758 0.598
H 0.377 0.242 0.098
H 0.377 0.258 0.598
H 0.380 0.249 0.305
H 0.380 0.251 0.805
H 0.481 0.049 0.837
H 0.481 0.451 0.337
H 0.486 0.084 0.180
H 0.486 0.416 0.680
H 0.514 0.584 0.320
H 0.514 0.916 0.820
H 0.519 0.549 0.663
H 0.519 0.951 0.163
H 0.620 0.749 0.195
H 0.620 0.751 0.695
H 0.623 0.742 0.402
H 0.623 0.758 0.902
H 0.877 0.242 0.402
H 0.877 0.258 0.902
H 0.880 0.249 0.195
H 0.880 0.251 0.695
H 0.981 0.049 0.663
H 0.981 0.451 0.163
H 0.986 0.084 0.320
H 0.986 0.416 0.820
O 0.021 0.697 0.087
O 0.021 0.803 0.587
O 0.024 0.507 0.212
O 0.024 0.993 0.712
O 0.048 0.692 0.335
O 0.048 0.808 0.835
O 0.067 0.116 0.026
O 0.067 0.384 0.526
O 0.120 0.621 0.914
O 0.120 0.879 0.414
O 0.219 0.157 0.567
O 0.219 0.343 0.067
O 0.281 0.657 0.567
O 0.281 0.843 0.067
O 0.380 0.121 0.914
O 0.380 0.379 0.414
O 0.433 0.616 0.026
O 0.433 0.884 0.526
O 0.452 0.192 0.335
O 0.452 0.308 0.835
O 0.476 0.007 0.212
O 0.476 0.493 0.712
O 0.479 0.197 0.087
O 0.479 0.303 0.587
O 0.521 0.697 0.413
O 0.521 0.803 0.913
O 0.524 0.507 0.288
O 0.524 0.993 0.788
O 0.548 0.692 0.165
O 0.548 0.808 0.665
O 0.567 0.116 0.474
O 0.567 0.384 0.974
O 0.620 0.621 0.586
O 0.620 0.879 0.086
O 0.719 0.157 0.933
O 0.719 0.343 0.433
O 0.781 0.657 0.933
O 0.781 0.843 0.433
O 0.880 0.121 0.586
O 0.880 0.379 0.086
O 0.933 0.616 0.474
O 0.933 0.884 0.974
O 0.952 0.192 0.165
O 0.952 0.308 0.665
O 0.976 0.007 0.288
O 0.976 0.493 0.788
O 0.979 0.197 0.413
O 0.979 0.303 0.913

## Properties
**Total magnetization**: 0.00 μB/f.u.
**Volume**: 13.074 Å³ per atom
**Raw total energy**: -5.403 eV/atom
**Space-group type**: Pbca
**Crystal system**: orthorhombic



(4)
Sr2Fe2H2OF10 | PBE+U | relaxed

Cell lengths 10.787, 10.787, 10.946 Å; angles 90.00, 90.00, 136.73 degrees
Fractional coordinates of all 68 atoms:
Sr 0.030 0.470 0.750
Sr 0.120 0.880 0.953
Sr 0.380 0.620 0.453
Sr 0.470 0.030 0.250
Sr 0.530 0.970 0.750
Sr 0.620 0.380 0.547
Sr 0.880 0.120 0.047
Sr 0.970 0.530 0.250
Fe 0.181 0.819 0.564
Fe 0.216 0.284 0.750
Fe 0.284 0.216 0.250
Fe 0.319 0.681 0.064
Fe 0.681 0.319 0.936
Fe 0.716 0.784 0.750
Fe 0.784 0.716 0.250
Fe 0.819 0.181 0.436
H 0.046 0.160 0.420
H 0.160 0.046 0.580
H 0.340 0.454 0.080
H 0.454 0.340 0.920
H 0.546 0.660 0.080
H 0.660 0.546 0.920
H 0.840 0.954 0.420
H 0.954 0.840 0.580
O 0.081 0.919 0.551
O 0.419 0.581 0.051
O 0.581 0.419 0.949
O 0.919 0.081 0.449
F 0.030 0.970 0.290
F 0.052 0.428 0.421
F 0.072 0.448 0.079
F 0.094 0.304 0.865
F 0.176 0.244 0.126
F 0.180 0.820 0.747
F 0.196 0.406 0.635
F 0.198 0.802 0.389
F 0.219 0.781 0.102
F 0.244 0.176 0.874
F 0.256 0.324 0.374
F 0.281 0.719 0.602
F 0.302 0.698 0.889
F 0.304 0.094 0.135
F 0.320 0.680 0.247
F 0.324 0.256 0.626
F 0.406 0.196 0.365
F 0.428 0.052 0.579
F 0.448 0.072 0.921
F 0.470 0.530 0.790
F 0.530 0.470 0.210
F 0.552 0.928 0.079
F 0.572 0.948 0.421
F 0.594 0.804 0.635
F 0.676 0.744 0.374
F 0.680 0.320 0.753
F 0.696 0.906 0.865
F 0.698 0.302 0.111
F 0.719 0.281 0.398
F 0.744 0.676 0.626
F 0.756 0.824 0.126
F 0.781 0.219 0.898
F 0.802 0.198 0.611
F 0.804 0.594 0.365
F 0.820 0.180 0.253
F 0.824 0.756 0.874
F 0.906 0.696 0.135
F 0.928 0.552 0.921
F 0.948 0.572 0.579
F 0.970 0.030 0.710

## Properties
**Total magnetization**: 10.00 μB/f.u.
**Volume**: 12.839 Å³ per atom
**Raw total energy**: -5.414 eV/atom
**Space-group type**: Cmce
**Crystal system**: orthorhombic



(5)
Ba3Al2Ga2Fe2O12 | PBE+U | relaxed

Cell lengths 9.317, 9.095, 9.346 Å; angles 90.00, 119.54, 90.00 degrees
Fractional coordinates of all 42 atoms:
Ba 0.007 0.000 0.011
Ba 0.334 0.992 0.658
Ba 0.341 0.495 0.671
Ba 0.659 0.995 0.329
Ba 0.666 0.492 0.342
Ba 0.993 0.500 0.989
Al 0.006 0.692 0.672
Al 0.322 0.299 0.329
Al 0.678 0.799 0.671
Al 0.994 0.192 0.328
Ga 0.003 0.298 0.661
Ga 0.331 0.797 0.006
Ga 0.669 0.297 0.994
Ga 0.997 0.798 0.339
Fe 0.330 0.201 0.003
Fe 0.342 0.692 0.349
Fe 0.658 0.192 0.651
Fe 0.670 0.701 0.997
O 0.030 0.499 0.680
O 0.105 0.757 0.563
O 0.109 0.750 0.882
O 0.120 0.755 0.236
O 0.208 0.230 0.419
O 0.217 0.226 0.772
O 0.220 0.277 0.112
O 0.333 0.998 0.046
O 0.341 0.489 0.371
O 0.446 0.727 0.221
O 0.446 0.761 0.894
O 0.469 0.740 0.575
O 0.531 0.240 0.425
O 0.554 0.227 0.779
O 0.554 0.261 0.106
O 0.659 0.989 0.629
O 0.667 0.498 0.954
O 0.780 0.777 0.888
O 0.783 0.726 0.228
O 0.792 0.730 0.581
O 0.880 0.255 0.764
O 0.891 0.250 0.118
O 0.895 0.257 0.437
O 0.970 0.999 0.320

## Properties
**Total magnetization**: 10.00 μB/f.u.
**Volume**: 16.404 Å³ per atom
**Raw total energy**: -6.655 eV/atom
**Space-group type**: P2_1
**Crystal system**: monoclinic



(6)
Dy4Mo4O11 | PBE+U | relaxed

Cell lengths 10.867, 16.125, 5.756 Å; angles 90.00, 90.00, 90.00 degrees
Fractional coordinates of all 76 atoms:
Dy 0.075 0.099 0.000
Dy 0.094 0.237 0.500
Dy 0.116 0.924 0.500
Dy 0.185 0.778 0.000
Dy 0.315 0.278 0.000
Dy 0.384 0.424 0.500
Dy 0.406 0.737 0.500
Dy 0.425 0.599 0.000
Dy 0.575 0.401 0.000
Dy 0.594 0.263 0.500
Dy 0.616 0.576 0.500
Dy 0.685 0.722 0.000
Dy 0.815 0.222 0.000
Dy 0.884 0.076 0.500
Dy 0.906 0.763 0.500
Dy 0.925 0.901 0.000
Mo 0.083 0.440 0.500
Mo 0.097 0.428 0.000
Mo 0.141 0.589 0.226
Mo 0.141 0.589 0.774
Mo 0.359 0.089 0.226
Mo 0.359 0.089 0.774
Mo 0.403 0.928 0.000
Mo 0.417 0.940 0.500
Mo 0.583 0.060 0.500
Mo 0.597 0.072 0.000
Mo 0.641 0.911 0.226
Mo 0.641 0.911 0.774
Mo 0.859 0.411 0.226
Mo 0.859 0.411 0.774
Mo 0.903 0.572 0.000
Mo 0.917 0.560 0.500
O 0.000 0.000 0.255
O 0.000 0.000 0.745
O 0.039 0.667 0.000
O 0.042 0.828 0.253
O 0.042 0.828 0.747
O 0.048 0.654 0.500
O 0.189 0.362 0.263
O 0.189 0.362 0.737
O 0.220 0.177 0.236
O 0.220 0.177 0.764
O 0.231 0.523 0.500
O 0.247 0.512 0.000
O 0.253 0.012 0.000
O 0.269 0.023 0.500
O 0.280 0.677 0.236
O 0.280 0.677 0.764
O 0.311 0.862 0.263
O 0.311 0.862 0.737
O 0.452 0.154 0.500
O 0.458 0.328 0.253
O 0.458 0.328 0.747
O 0.461 0.167 0.000
O 0.500 0.500 0.255
O 0.500 0.500 0.745
O 0.539 0.833 0.000
O 0.542 0.672 0.253
O 0.542 0.672 0.747
O 0.548 0.846 0.500
O 0.689 0.138 0.263
O 0.689 0.138 0.737
O 0.720 0.323 0.236
O 0.720 0.323 0.764
O 0.731 0.977 0.500
O 0.747 0.988 0.000
O 0.753 0.488 0.000
O 0.769 0.477 0.500
O 0.780 0.823 0.236
O 0.780 0.823 0.764
O 0.811 0.638 0.263
O 0.811 0.638 0.737
O 0.952 0.346 0.500
O 0.958 0.172 0.253
O 0.958 0.172 0.747
O 0.961 0.333 0.000

## Properties
**Total magnetization**: 5.73 μB/f.u.
**Volume**: 13.272 Å³ per atom
**Raw total energy**: -7.696 eV/atom
**Space-group type**: Pbam
**Crystal system**: orthorhombic